No. 1
# LuBi2BrO4

Crystalline LuBi2BrO4 at its relaxed geometry (PBE, the Materials Project).

Properties
E in eV per atom: -6.234
Energy of formation from the pure elements in kJ/mol of atoms: -227.9

Lattice parameters (Å, degrees): 3.877 3.877 9.276 90.00 90.00 90.00
Sites, in units of the cell vectors:
Lu (0.000, 0.000, 0.000)
Bi (0.500, 0.500, 0.733)
Bi (0.500, 0.500, 0.267)
Br (0.000, 0.000, 0.500)
O (0.500, 0.000, 0.856)
O (0.000, 0.500, 0.856)
O (0.500, 0.000, 0.144)
O (0.000, 0.500, 0.144)

No. 2
# Bi2Br9N3

Crystalline Bi2Br9N3 at its relaxed geometry (PBE, the Materials Project).

Properties
Excess energy over the best structure of this formula in the dataset in meV per atom: 10.4
E in eV per atom: -2.523
Energy of formation from the pure elements in kJ/mol of atoms: 76.7

Lattice parameters (Å, degrees): 7.790 7.790 9.756 90.00 90.00 120.00
Sites, in units of the cell vectors:
Bi (0.333, 0.667, 0.809)
Bi (0.667, 0.333, 0.191)
Br (0.000, 0.500, 0.000)
Br (0.500, 0.000, 0.000)
Br (0.500, 0.500, 0.000)
Br (0.164, 0.836, 0.669)
Br (0.672, 0.836, 0.669)
Br (0.164, 0.328, 0.669)
Br (0.836, 0.164, 0.331)
Br (0.328, 0.164, 0.331)
Br (0.836, 0.672, 0.331)
N (0.000, 0.000, 0.000)
N (0.333, 0.667, 0.317)
N (0.667, 0.333, 0.683)

No. 3
# Bi2Br9N3

Crystalline Bi2Br9N3 at its relaxed geometry (PBE, the Materials Project).

Properties
Excess energy over the best structure of this formula in the dataset in meV per atom: 0.0
E in eV per atom: -2.533
Energy of formation from the pure elements in kJ/mol of atoms: 75.7

Lattice parameters (Å, degrees): 9.414 9.414 21.284 90.00 90.00 120.00
Sites, in units of the cell vectors:
Bi (0.333, 0.667, 0.341)
Bi (0.667, 0.333, 0.659)
Bi (0.667, 0.333, 0.841)
Bi (0.333, 0.667, 0.159)
Br (0.466, 0.534, 0.250)
Br (0.466, 0.931, 0.250)
Br (0.069, 0.534, 0.250)
Br (0.534, 0.466, 0.750)
Br (0.534, 0.069, 0.750)
Br (0.931, 0.466, 0.750)
Br (0.194, 0.806, 0.403)
Br (0.194, 0.387, 0.403)
Br (0.613, 0.806, 0.403)
Br (0.806, 0.194, 0.597)
Br (0.806, 0.613, 0.597)
Br (0.387, 0.194, 0.597)
Br (0.806, 0.194, 0.903)
Br (0.806, 0.613, 0.903)
Br (0.387, 0.194, 0.903)
Br (0.194, 0.806, 0.097)
Br (0.194, 0.387, 0.097)
Br (0.613, 0.806, 0.097)
N (0.000, 0.000, 0.250)
N (0.000, 0.000, 0.750)
N (0.667, 0.333, 0.408)
N (0.333, 0.667, 0.592)
N (0.333, 0.667, 0.908)
N (0.667, 0.333, 0.092)

No. 4
# Bi24Br10O31

Crystalline Bi24Br10O31 at its relaxed geometry (PBE, the Materials Project).

Properties
Excess energy over the best structure of this formula in the dataset in meV per atom: 0.0
E in eV per atom: -5.210
Energy of formation from the pure elements in kJ/mol of atoms: -143.8

Lattice parameters (Å, degrees): 8.062 10.578 15.503 90.28 97.60 90.28
Sites, in units of the cell vectors:
Bi (0.678, 0.083, 0.696)
Bi (0.147, 0.059, 0.691)
Bi (0.464, 0.068, 0.095)
Bi (0.984, 0.074, 0.088)
Bi (0.725, 0.250, 0.931)
Bi (0.224, 0.207, 0.930)
Bi (0.610, 0.251, 0.352)
Bi (0.112, 0.254, 0.353)
Bi (0.801, 0.387, 0.172)
Bi (0.300, 0.390, 0.173)
Bi (0.151, 0.435, 0.592)
Bi (0.652, 0.449, 0.594)
Bi (0.857, 0.549, 0.408)
Bi (0.357, 0.550, 0.409)
Bi (0.710, 0.612, 0.825)
Bi (0.213, 0.602, 0.830)
Bi (0.946, 0.748, 0.652)
Bi (0.414, 0.751, 0.654)
Bi (0.765, 0.791, 0.065)
Bi (0.277, 0.752, 0.067)
Bi (0.999, 0.898, 0.898)
Bi (0.517, 0.943, 0.885)
Bi (0.813, 0.911, 0.312)
Bi (0.320, 0.911, 0.306)
Br (0.881, 0.206, 0.531)
Br (0.380, 0.199, 0.531)
Br (0.439, 0.357, 0.756)
Br (0.940, 0.343, 0.758)
Br (0.003, 0.500, 0.003)
Br (0.506, 0.509, 0.998)
Br (0.069, 0.652, 0.245)
Br (0.570, 0.657, 0.246)
Br (0.599, 0.837, 0.467)
Br (0.100, 0.845, 0.455)
O (0.767, 0.977, 0.007)
O (0.233, 0.029, 0.001)
O (0.689, 0.089, 0.834)
O (0.231, 0.053, 0.826)
O (0.964, 0.154, 0.952)
O (0.503, 0.141, 0.960)
O (0.807, 0.106, 0.319)
O (0.318, 0.107, 0.311)
O (0.778, 0.230, 0.081)
O (0.278, 0.235, 0.086)
O (0.560, 0.306, 0.214)
O (0.058, 0.303, 0.213)
O (0.836, 0.373, 0.329)
O (0.333, 0.374, 0.329)
O (0.615, 0.464, 0.443)
O (0.114, 0.459, 0.441)
O (0.389, 0.528, 0.553)
O (0.895, 0.534, 0.553)
O (0.680, 0.630, 0.677)
O (0.164, 0.612, 0.675)
O (0.962, 0.706, 0.792)
O (0.446, 0.689, 0.791)
O (0.223, 0.766, 0.918)
O (0.740, 0.783, 0.903)
O (0.539, 0.920, 0.718)
O (0.188, 0.861, 0.681)
O (0.032, 0.842, 0.040)
O (0.494, 0.861, 0.037)
O (0.832, 0.925, 0.179)
O (0.306, 0.916, 0.170)
O (0.906, 0.974, 0.706)

No. 5
# Bi12Br5O16

Crystalline Bi12Br5O16 at its relaxed geometry (PBE, the Materials Project).

Properties
E in eV per atom: -5.222
Energy of formation from the pure elements in kJ/mol of atoms: -144.1

Lattice parameters (Å, degrees): 15.811 15.811 10.233 89.51 89.51 14.52
Sites, in units of the cell vectors:
Bi (0.531, 0.531, 0.232)
Bi (0.469, 0.469, 0.768)
Bi (0.827, 0.827, 0.238)
Bi (0.173, 0.173, 0.762)
Bi (0.413, 0.413, 0.395)
Bi (0.587, 0.587, 0.605)
Bi (0.649, 0.649, 0.067)
Bi (0.351, 0.351, 0.933)
Bi (0.705, 0.705, 0.441)
Bi (0.295, 0.295, 0.559)
Bi (0.942, 0.942, 0.076)
Bi (0.058, 0.058, 0.924)
Br (0.222, 0.222, 0.187)
Br (0.778, 0.778, 0.813)
Br (0.000, 0.000, 0.500)
Br (0.887, 0.887, 0.653)
Br (0.113, 0.113, 0.347)
O (0.574, 0.574, 0.051)
O (0.426, 0.426, 0.949)
O (0.867, 0.867, 0.029)
O (0.133, 0.133, 0.971)
O (0.981, 0.981, 0.868)
O (0.019, 0.019, 0.132)
O (0.458, 0.458, 0.216)
O (0.542, 0.542, 0.784)
O (0.777, 0.777, 0.462)
O (0.223, 0.223, 0.538)
O (0.659, 0.659, 0.614)
O (0.341, 0.341, 0.386)
O (0.323, 0.323, 0.125)
O (0.677, 0.677, 0.875)
O (0.897, 0.897, 0.295)
O (0.103, 0.103, 0.705)

No. 6
# Bi4Br2O5

Crystalline Bi4Br2O5 at its relaxed geometry (PBE, the Materials Project).

Properties
E in eV per atom: -5.165
Energy of formation from the pure elements in kJ/mol of atoms: -146.3

Lattice parameters (Å, degrees): 5.741 11.104 14.807 81.47 90.00 90.00
Sites, in units of the cell vectors:
Bi (0.272, 0.789, 0.152)
Bi (0.772, 0.211, 0.848)
Bi (0.772, 0.648, 0.302)
Bi (0.272, 0.352, 0.698)
Bi (0.212, 0.733, 0.882)
Bi (0.712, 0.267, 0.118)
Bi (0.660, 0.597, 0.041)
Bi (0.160, 0.403, 0.959)
Bi (0.181, 0.436, 0.219)
Bi (0.681, 0.564, 0.781)
Bi (0.747, 0.273, 0.373)
Bi (0.247, 0.727, 0.627)
Bi (0.260, 0.078, 0.543)
Bi (0.760, 0.922, 0.457)
Bi (0.755, 0.905, 0.706)
Bi (0.255, 0.095, 0.294)
Br (0.266, 0.786, 0.380)
Br (0.766, 0.214, 0.620)
Br (0.790, 0.624, 0.550)
Br (0.290, 0.376, 0.450)
Br (0.766, 0.948, 0.228)
Br (0.789, 0.875, 0.938)
Br (0.289, 0.125, 0.062)
Br (0.266, 0.052, 0.772)
O (0.315, 0.705, 0.033)
O (0.815, 0.295, 0.967)
O (0.018, 0.653, 0.193)
O (0.518, 0.347, 0.807)
O (0.519, 0.647, 0.197)
O (0.019, 0.353, 0.803)
O (0.828, 0.459, 0.297)
O (0.328, 0.541, 0.703)
O (0.973, 0.424, 0.095)
O (0.473, 0.576, 0.905)
O (0.471, 0.424, 0.088)
O (0.971, 0.576, 0.912)
O (0.002, 0.922, 0.579)
O (0.502, 0.078, 0.421)
O (0.517, 0.919, 0.580)
O (0.017, 0.081, 0.420)
O (0.492, 0.255, 0.264)
O (0.502, 0.752, 0.742)
O (0.002, 0.248, 0.258)
O (0.992, 0.745, 0.736)